1.
! SiO2 (PBE-GGA, optimized geometry); values from VASP
&SYSTEM
  ibrav = 0, nat = 144, ntyp = 2
/
ATOMIC_SPECIES
Si 28.09 Si.upf
O 16.00 O.upf
CELL_PARAMETERS angstrom
-8.3244 8.3244 8.3244
8.3244 -8.3244 8.3244
8.3244 8.3244 -8.3244
ATOMIC_POSITIONS crystal
Si 0.6285 0.3912 0.5403
Si 0.1491 0.5403 0.4118
Si 0.7627 0.8715 0.4118
Si 0.8912 0.1285 0.0403
Si 0.4118 0.7627 0.8715
Si 0.9118 0.3715 0.2627
Si 0.4597 0.5882 0.8509
Si 0.0882 0.9597 0.3509
Si 0.1088 0.7373 0.1491
Si 0.5882 0.8509 0.4597
Si 0.0882 0.6285 0.7373
Si 0.9597 0.1088 0.8715
Si 0.3509 0.7627 0.3912
Si 0.3715 0.6088 0.4597
Si 0.2373 0.1285 0.5882
Si 0.8715 0.9597 0.1088
Si 0.6088 0.4597 0.3715
Si 0.1088 0.8715 0.9597
Si 0.7627 0.3912 0.3509
Si 0.1491 0.1088 0.7373
Si 0.8509 0.8912 0.2627
Si 0.8509 0.4597 0.5882
Si 0.1285 0.5882 0.2373
Si 0.2627 0.8509 0.8912
Si 0.2373 0.6088 0.6491
Si 0.6285 0.7373 0.0882
Si 0.5403 0.4118 0.1491
Si 0.0403 0.6491 0.9118
Si 0.7373 0.0882 0.6285
Si 0.3715 0.2627 0.9118
Si 0.4118 0.1491 0.5403
Si 0.7373 0.1491 0.1088
Si 0.8912 0.2627 0.8509
Si 0.1285 0.0403 0.8912
Si 0.3509 0.0882 0.9597
Si 0.3912 0.5403 0.6285
Si 0.6491 0.2373 0.6088
Si 0.8715 0.4118 0.7627
Si 0.3912 0.3509 0.7627
Si 0.9118 0.0403 0.6491
Si 0.5882 0.2373 0.1285
Si 0.0403 0.8912 0.1285
Si 0.5403 0.6285 0.3912
Si 0.9597 0.3509 0.0882
Si 0.4597 0.3715 0.6088
Si 0.6491 0.9118 0.0403
Si 0.6088 0.6491 0.2373
Si 0.2627 0.9118 0.3715
O 0.5122 0.1545 0.5010
O 0.7161 0.8666 0.2095
O 0.1505 0.8666 0.1571
O 0.4878 0.8455 0.4990
O 0.1334 0.7905 0.2839
O 0.8666 0.2095 0.7161
O 0.8429 0.4934 0.7095
O 0.9990 0.3455 0.9878
O 0.0122 0.5113 0.3578
O 0.7095 0.8429 0.4934
O 0.3465 0.5010 0.4887
O 0.6334 0.7839 0.2905
O 0.6545 0.1422 0.6535
O 0.3666 0.2161 0.7095
O 0.6334 0.3495 0.3429
O 0.0010 0.8465 0.9887
O 0.1334 0.8429 0.8495
O 0.1545 0.1535 0.6422
O 0.8495 0.1334 0.8429
O 0.3455 0.9878 0.9990
O 0.5113 0.6535 0.4990
O 0.6535 0.4990 0.5113
O 0.6422 0.1545 0.1535
O 0.9887 0.4878 0.1422
O 0.3429 0.6334 0.3495
O 0.8465 0.9887 0.0010
O 0.5113 0.3578 0.0122
O 0.6545 0.0122 0.0010
O 0.5010 0.4887 0.3465
O 0.7839 0.9934 0.1505
O 0.6505 0.6571 0.3666
O 0.7905 0.0066 0.6571
O 0.1422 0.9887 0.4878
O 0.1535 0.0113 0.9990
O 0.9990 0.1535 0.0113
O 0.0066 0.8495 0.2161
O 0.2839 0.6505 0.4934
O 0.9934 0.1505 0.7839
O 0.3578 0.0122 0.5113
O 0.3429 0.2095 0.9934
O 0.3495 0.3429 0.6334
O 0.6422 0.9878 0.4887
O 0.8455 0.8465 0.3578
O 0.2095 0.9934 0.3429
O 0.3495 0.5066 0.7161
O 0.5066 0.2905 0.1571
O 0.2905 0.1571 0.5066
O 0.1535 0.6422 0.1545
O 0.1422 0.6535 0.6545
O 0.2161 0.7095 0.3666
O 0.0010 0.6545 0.0122
O 0.7839 0.2905 0.6334
O 0.3578 0.8455 0.8465
O 0.0066 0.6571 0.7905
O 0.6571 0.7905 0.0066
O 0.9878 0.4887 0.6422
O 0.6505 0.4934 0.2839
O 0.6571 0.3666 0.6505
O 0.4990 0.4878 0.8455
O 0.2839 0.1334 0.7905
O 0.0113 0.5122 0.8578
O 0.5122 0.8578 0.0113
O 0.8495 0.2161 0.0066
O 0.1571 0.5066 0.2905
O 0.8429 0.8495 0.1334
O 0.4934 0.2839 0.6505
O 0.9878 0.9990 0.3455
O 0.2905 0.6334 0.7839
O 0.4990 0.5113 0.6535
O 0.4887 0.6422 0.9878
O 0.1571 0.1505 0.8666
O 0.3455 0.8578 0.3465
O 0.8578 0.3465 0.3455
O 0.3465 0.3455 0.8578
O 0.0113 0.9990 0.1535
O 0.7905 0.2839 0.1334
O 0.2161 0.0066 0.8495
O 0.8666 0.1571 0.1505
O 0.4887 0.3465 0.5010
O 0.0122 0.0010 0.6545
O 0.8465 0.3578 0.8455
O 0.3666 0.6505 0.6571
O 0.7095 0.3666 0.2161
O 0.5066 0.7161 0.3495
O 0.8578 0.0113 0.5122
O 0.6535 0.6545 0.1422
O 0.4934 0.7095 0.8429
O 0.9887 0.0010 0.8465
O 0.4878 0.1422 0.9887
O 0.7161 0.3495 0.5066
O 0.1505 0.7839 0.9934
O 0.9934 0.3429 0.2095
O 0.2095 0.7161 0.8666
O 0.1545 0.5010 0.5122
O 0.5010 0.5122 0.1545
O 0.8455 0.4990 0.4878
! density: 2.1 g/cm3
! E: -1013.77 eV for the cell shown
! energy of formation from the pure elements: -2.3910 eV/atom
! calculated volume: 16.0 A^3/atom



2.
! HoGa2 (PBE-GGA, optimized geometry); values from VASP
&SYSTEM
  ibrav = 0, nat = 3, ntyp = 2
/
ATOMIC_SPECIES
Ho 164.93 Ho.upf
Ga 69.72 Ga.upf
CELL_PARAMETERS angstrom
0.8131 -3.9693 -0.5390
3.4337 1.0035 -2.2098
3.6898 0.4903 1.9557
ATOMIC_POSITIONS crystal
Ho 0.0000 0.0000 0.0000
Ga 0.5000 0.3333 0.3333
Ga 0.5000 0.6667 0.6667
! density: 8.1 g/cm3
! E: -12.52 eV for the cell shown
! energy of formation from the pure elements: -0.6268 eV/atom
! calculated volume: 20.9 A^3/atom



3.
! Dy3B7W (PBE-GGA, optimized geometry); values from VASP
&SYSTEM
  ibrav = 0, nat = 22, ntyp = 3
/
ATOMIC_SPECIES
Dy 162.50 Dy.upf
B 10.81 B.upf
W 183.84 W.upf
CELL_PARAMETERS angstrom
0.6618 1.0890 -8.0930
-2.0367 2.0711 7.6605
8.5694 3.8960 1.2251
ATOMIC_POSITIONS crystal
Dy 0.8930 0.1070 0.4396
Dy 0.1070 0.8930 0.5604
Dy 0.8930 0.1070 0.0604
Dy 0.1070 0.8930 0.9396
Dy 0.2434 0.7566 0.2500
Dy 0.7566 0.2434 0.7500
B 0.7273 0.2727 0.4674
B 0.2727 0.7273 0.5326
B 0.7273 0.2727 0.0326
B 0.2727 0.7273 0.9674
B 0.6345 0.3655 0.1469
B 0.3655 0.6345 0.8531
B 0.6345 0.3655 0.3531
B 0.3655 0.6345 0.6469
B 0.5196 0.4804 0.0918
B 0.4804 0.5196 0.9082
B 0.5196 0.4804 0.4082
B 0.4804 0.5196 0.5918
B 0.4559 0.5441 0.2500
B 0.5441 0.4559 0.7500
W 0.0532 0.9468 0.2500
W 0.9468 0.0532 0.7500
! density: 9.4 g/cm3
! E: -159.96 eV for the cell shown
! energy of formation from the pure elements: -0.5861 eV/atom
! calculated volume: 12.0 A^3/atom